No. 1
Entry from the Materials Project database: a geometry-optimized Dy2Ge2O7 structure (PBE).

Calculated values
formation energy	-294	kJ per mole of atoms

Unit cell a=4.997 b=11.095 c=5.685 alpha=90.00 beta=95.83 gamma=90.00
Element x y z (fractional)
Dy: 0.111 0.149 0.402
Dy: 0.111 0.351 0.902
Dy: 0.889 0.649 0.098
Dy: 0.889 0.851 0.598
Ge: 0.360 0.619 0.654
Ge: 0.360 0.881 0.154
Ge: 0.640 0.119 0.846
Ge: 0.640 0.381 0.346
O: 0.113 0.690 0.456
O: 0.113 0.810 0.956
O: 0.201 0.551 0.886
O: 0.201 0.949 0.386
O: 0.373 0.212 0.727
O: 0.373 0.288 0.227
O: 0.500 0.000 0.000
O: 0.500 0.500 0.500
O: 0.627 0.712 0.773
O: 0.627 0.788 0.273
O: 0.799 0.051 0.614
O: 0.799 0.449 0.114
O: 0.887 0.190 0.044
O: 0.887 0.310 0.544

No. 2
Entry from the Materials Project database: a geometry-optimized Dy2Ge2O7 structure (PBE).

Calculated values
formation energy	-293	kJ per mole of atoms

Unit cell a=13.952 b=8.314 c=5.291 alpha=90.00 beta=90.00 gamma=90.00
Element x y z (fractional)
Dy: 0.125 0.015 0.163
Dy: 0.125 0.485 0.163
Dy: 0.375 0.515 0.663
Dy: 0.375 0.985 0.663
Dy: 0.625 0.015 0.337
Dy: 0.625 0.485 0.337
Dy: 0.875 0.515 0.837
Dy: 0.875 0.985 0.837
Ge: 0.049 0.750 0.631
Ge: 0.187 0.250 0.632
Ge: 0.313 0.750 0.132
Ge: 0.451 0.250 0.131
Ge: 0.549 0.750 0.869
Ge: 0.687 0.250 0.868
Ge: 0.813 0.750 0.368
Ge: 0.951 0.250 0.369
O: 0.050 0.572 0.806
O: 0.050 0.928 0.806
O: 0.083 0.250 0.422
O: 0.108 0.750 0.336
O: 0.155 0.250 0.951
O: 0.236 0.072 0.505
O: 0.236 0.428 0.505
O: 0.264 0.572 0.005
O: 0.264 0.928 0.005
O: 0.345 0.750 0.451
O: 0.392 0.250 0.836
O: 0.417 0.750 0.922
O: 0.450 0.072 0.306
O: 0.450 0.428 0.306
O: 0.550 0.572 0.694
O: 0.550 0.928 0.694
O: 0.583 0.250 0.078
O: 0.608 0.750 0.164
O: 0.655 0.250 0.549
O: 0.736 0.072 0.995
O: 0.736 0.428 0.995
O: 0.764 0.572 0.495
O: 0.764 0.928 0.495
O: 0.845 0.750 0.049
O: 0.892 0.250 0.664
O: 0.917 0.750 0.578
O: 0.950 0.072 0.194
O: 0.950 0.428 0.194

Question: What is the formation energy in the second record?
Answer: -293 kJ per mole of atoms

Question: formation energy of number 2 (Dy2Ge2O7)?
Answer: -293 kJ per mole of atoms